# NbFe2, optimized geometry, DFT meta-GGA r2SCAN
data_NbFe2
_chemical_formula_sum 'Nb4 Fe8'
_space_group_name_H-M_alt 'P 63/m m c'
_space_group_IT_number 194
_space_group_name_Hall '-P 6c 2c'
_cell_length_a 4.7769
_cell_length_b 4.7769
_cell_length_c 8.0776
_cell_angle_alpha 90.00
_cell_angle_beta 90.00
_cell_angle_gamma 120.00
loop_
_atom_site_label
_atom_site_type_symbol
_atom_site_fract_x
_atom_site_fract_y
_atom_site_fract_z
_atom_site_occupancy
Nb1 Nb 0.3333 0.6667 0.0669 1
Fe1 Fe 0.0000 0.0000 0.0000 1
Fe2 Fe 0.1703 0.3406 0.7500 1
# * V: 13.3 A^3/atom
# * M_tot: 0.279 μB/atom
# * E_tot: -17.7670 eV/atom


# NbFeO4, optimized geometry, DFT meta-GGA r2SCAN
data_NbFeO4
_chemical_formula_sum 'Nb4 Fe4 O16'
_space_group_name_H-M_alt 'C 1 2/m 1'
_space_group_IT_number 12
_cell_length_a 12.594
_cell_length_b 3.864
_cell_length_c 6.712
_cell_angle_alpha 90.00
_cell_angle_beta 107.48
_cell_angle_gamma 90.00
loop_
_space_group_symop_operation_xyz
'x,y,z'
'-x,-y,-z'
'-x,y,-z'
'x,-y,z'
'x+1/2,y+1/2,z'
'-x+1/2,-y+1/2,-z'
'-x+1/2,y+1/2,-z'
'x+1/2,-y+1/2,z'
loop_
_atom_site_label
_atom_site_type_symbol
_atom_site_fract_x
_atom_site_fract_y
_atom_site_fract_z
_atom_site_occupancy
Nb1 Nb 0.104 0.000 0.230 1
Fe1 Fe 0.197 0.000 0.812 1
O1 O 0.055 0.000 0.866 1
O2 O 0.136 0.500 0.202 1
O3 O 0.138 0.000 0.515 1
O4 O 0.244 0.500 0.854 1
# * V: 13.0 A^3/atom
# * M_tot: 0.833 μB/atom
# * E_tot: -12.7947 eV/atom


# Nb4FeSe8, optimized geometry, DFT meta-GGA r2SCAN
data_Nb4FeSe8
_chemical_formula_sum 'Nb16 Fe4 Se32'
_space_group_name_H-M_alt 'C m c m'
_space_group_IT_number 63
_space_group_name_Hall '-C 2c 2'
_cell_length_a 7.000
_cell_length_b 12.115
_cell_length_c 12.867
_cell_angle_alpha 90.00
_cell_angle_beta 90.00
_cell_angle_gamma 90.00
loop_
_atom_site_label
_atom_site_type_symbol
_atom_site_fract_x
_atom_site_fract_y
_atom_site_fract_z
_atom_site_occupancy
Nb1 Nb 0.000 0.001 0.250 1
Nb2 Nb 0.000 0.491 0.250 1
Nb3 Nb 0.236 0.254 0.250 1
Fe1 Fe 0.000 0.000 0.000 1
Se1 Se 0.000 0.167 0.623 1
Se2 Se 0.000 0.333 0.116 1
Se3 Se 0.247 0.416 0.622 1
# * V: 21.0 A^3/atom
# * M_tot: 0.240 μB/atom
# * E_tot: -18.4605 eV/atom


# Nd2Fe12P7, optimized geometry, DFT meta-GGA r2SCAN
data_Nd2Fe12P7
_chemical_formula_sum 'Nd2 Fe12 P7'
_space_group_name_H-M_alt 'P -6'
_space_group_IT_number 174
_cell_length_a 9.1783
_cell_length_b 9.1783
_cell_length_c 3.6875
_cell_angle_alpha 90.00
_cell_angle_beta 90.00
_cell_angle_gamma 120.00
loop_
_space_group_symop_operation_xyz
'x,y,z'
'-x+y,-x,-z'
'-y,x-y,z'
'x,y,-z'
'-x+y,-x,z'
'-y,x-y,-z'
loop_
_atom_site_label
_atom_site_type_symbol
_atom_site_fract_x
_atom_site_fract_y
_atom_site_fract_z
_atom_site_occupancy
Nd1 Nd 0.0000 0.0000 0.0000 1
Nd2 Nd 0.3333 0.6667 0.5000 1
Fe1 Fe 0.0488 0.7677 0.5000 1
Fe2 Fe 0.0858 0.3835 0.0000 1
Fe3 Fe 0.4507 0.2431 0.0000 1
Fe4 Fe 0.5069 0.0542 0.5000 1
P1 P 0.0718 0.6399 0.0000 1
P2 P 0.2586 0.0469 0.5000 1
P3 P 0.6667 0.3333 0.5000 1
# * V: 12.8 A^3/atom
# * M_tot: 0.114 μB/atom
# * E_tot: -14.5274 eV/atom


Number 1: formation energy 87 meV per atom. Number 2: formation energy -2288 meV per atom. Number 3: formation energy -934 meV per atom. Number 4: formation energy -489 meV per atom.